1.
A relaxed structure of LaMg14Mo. Source: the Materials Project, functional PBE.

Computed properties:
E_tot	-2.275	eV per atom
ΔH_f (0 K)	0.11	eV per atom
energy relative to the lowest polymorph listed for this composition	0.000	eV per atom

Cell lengths 10.4435, 6.5055, 6.5055 Å; angles 55.71, 90.00, 90.00 degrees
With the nearest neighbours (Å) after each atom.
Element x y z (fractional)
La1 0.0000 0.0000 0.0000  2 Mo 3.04, 10 Mg 3.24-3.31
Mg1 0.0000 0.0052 0.4950  8 Mg 2.98-3.30, 1 Mo 3.16, 2 La 3.24-3.27
Mg2 0.0000 0.4950 0.0052  8 Mg 2.98-3.30, 1 Mo 3.16, 2 La 3.24-3.27
Mg3 0.2329 0.6489 0.6489  1 Mo 3.03, 11 Mg 3.06-3.36
Mg4 0.2513 0.1650 0.6491  8 Mg 2.94-3.21, 1 Mo 3.16, 1 La 3.24
Mg5 0.2513 0.6491 0.1650  8 Mg 2.94-3.21, 1 Mo 3.16, 1 La 3.24
Mg6 0.2634 0.1595 0.1595  11 Mg 3.06-3.30, 1 La 3.31
Mg7 0.5000 0.4962 0.4962  12 Mg 3.04-3.30
Mg8 0.5000 0.4983 0.9930  12 Mg 3.01-3.36
Mg9 0.5000 0.9930 0.4983  12 Mg 3.01-3.36
Mg10 0.5000 0.9932 0.9932  12 Mg 3.04-3.28
Mg11 0.7366 0.1595 0.1595  11 Mg 3.06-3.30, 1 La 3.31
Mg12 0.7487 0.1650 0.6491  8 Mg 2.94-3.21, 1 Mo 3.16, 1 La 3.24
Mg13 0.7487 0.6491 0.1650  8 Mg 2.94-3.21, 1 Mo 3.16, 1 La 3.24
Mg14 0.7671 0.6489 0.6489  1 Mo 3.03, 11 Mg 3.06-3.36
Mo1 0.0000 0.4919 0.4919  10 Mg 3.03-3.35, 2 La 3.04

=====

2.
A relaxed structure of LaMg6Mo. Source: the Materials Project, functional PBE.

Computed properties:
E_tot	-2.942	eV per atom
ΔH_f (0 K)	0.23	eV per atom
energy relative to the lowest polymorph listed for this composition	0.000	eV per atom

Cell lengths 4.9589, 6.4508, 11.4997 Å; angles 90.00, 90.00, 90.00 degrees
With the nearest neighbours (Å) after each atom.
Element x y z (fractional)
La1 0.0000 0.5000 0.3010  2 Mo 2.78, 2 Mg 3.05
La2 0.0000 0.0000 0.8010  2 Mo 2.78, 2 Mg 3.05
Mg1 0.0000 0.2590 0.0725  7 Mg 2.98-3.34, 1 La 3.05, 2 Mo 3.23
Mg2 0.0000 0.7410 0.0725  7 Mg 2.98-3.34, 1 La 3.05, 2 Mo 3.23
Mg3 0.0000 0.0000 0.3352  10 Mg 3.11-3.45, 2 La 3.25
Mg4 0.5000 0.7619 0.4280  7 Mg 2.98-3.33, 1 Mo 3.20, 2 La 3.34
Mg5 0.5000 0.2381 0.4280  7 Mg 2.98-3.33, 1 Mo 3.20, 2 La 3.34
Mg6 0.5000 0.0000 0.1715  10 Mg 3.11-3.33, 2 Mo 3.23
Mg7 0.0000 0.7590 0.5725  7 Mg 2.98-3.34, 1 La 3.05, 2 Mo 3.23
Mg8 0.0000 0.2410 0.5725  7 Mg 2.98-3.34, 1 La 3.05, 2 Mo 3.23
Mg9 0.0000 0.5000 0.8352  10 Mg 3.11-3.45, 2 La 3.25
Mg10 0.5000 0.2619 0.9280  7 Mg 2.98-3.33, 1 Mo 3.20, 2 La 3.34
Mg11 0.5000 0.7381 0.9280  7 Mg 2.98-3.33, 1 Mo 3.20, 2 La 3.34
Mg12 0.5000 0.5000 0.6715  10 Mg 3.11-3.33, 2 Mo 3.23
Mo1 0.5000 0.5000 0.1914  2 La 2.78
Mo2 0.5000 0.0000 0.6914  2 La 2.78

=====

3.
A relaxed structure of LaMg2Mo3S8. Source: the Materials Project, functional PBE.

Computed properties:
E_tot	-6.145	eV per atom
ΔH_f (0 K)	-1.16	eV per atom

Cell lengths 7.6219, 7.6219, 7.6219 Å; angles 59.81, 59.81, 59.81 degrees
With the nearest neighbours (Å) after each atom.
Element x y z (fractional)
La1 0.0000 0.0000 0.0000  6 S 2.82
Mg1 0.3762 0.3762 0.3762  4 S 2.46-2.58
Mg2 0.6238 0.6238 0.6238  4 S 2.46-2.58
Mo1 0.0000 0.0000 0.5000  6 S 2.52-2.57
Mo2 0.0000 0.5000 0.0000  6 S 2.52-2.57
Mo3 0.5000 0.0000 0.0000  6 S 2.52-2.57
S1 0.2284 0.7392 0.7392  1 Mg 2.46, 2 Mo 2.52
S2 0.2382 0.2382 0.2382  3 Mo 2.57, 1 Mg 2.58
S3 0.2608 0.2608 0.7716  1 Mg 2.46, 2 Mo 2.52
S4 0.2608 0.7716 0.2608  1 Mg 2.46, 2 Mo 2.52
S5 0.7392 0.2284 0.7392  1 Mg 2.46, 2 Mo 2.52
S6 0.7392 0.7392 0.2284  1 Mg 2.46, 2 Mo 2.52
S7 0.7618 0.7618 0.7618  3 Mo 2.57, 1 Mg 2.58
S8 0.7716 0.2608 0.2608  1 Mg 2.46, 2 Mo 2.52

=====

4.
A relaxed structure of NaLaMg14. Source: the Materials Project, functional PBE.

Computed properties:
E_tot	-1.755	eV per atom
ΔH_f (0 K)	0.04	eV per atom
energy relative to the lowest polymorph listed for this composition	0.000	eV per atom

Cell lengths 6.6718, 6.6718, 10.3915 Å; angles 90.00, 90.00, 120.00 degrees
With the nearest neighbours (Å) after each atom.
Element x y z (fractional)
Na1 0.0000 0.0000 0.0000  12 Mg 3.23-3.34
La1 0.0000 0.0000 0.5000  12 Mg 3.28-3.34
Mg1 0.0020 0.5010 0.0000  10 Mg 3.20-3.36, 2 Na 3.34
Mg2 0.0078 0.5039 0.5000  10 Mg 3.23-3.41, 2 La 3.34
Mg3 0.1699 0.3397 0.2472  10 Mg 3.20-3.40, 1 Na 3.23, 1 La 3.28
Mg4 0.1699 0.3397 0.7528  10 Mg 3.20-3.40, 1 Na 3.23, 1 La 3.28
Mg5 0.1699 0.8301 0.2472  10 Mg 3.20-3.40, 1 Na 3.23, 1 La 3.28
Mg6 0.1699 0.8301 0.7528  10 Mg 3.20-3.40, 1 Na 3.23, 1 La 3.28
Mg7 0.4961 0.5039 0.5000  10 Mg 3.23-3.41, 2 La 3.34
Mg8 0.4961 0.9922 0.5000  10 Mg 3.23-3.41, 2 La 3.34
Mg9 0.4990 0.5010 0.0000  10 Mg 3.20-3.36, 2 Na 3.34
Mg10 0.4990 0.9980 0.0000  10 Mg 3.20-3.36, 2 Na 3.34
Mg11 0.6603 0.8301 0.2472  10 Mg 3.20-3.40, 1 Na 3.23, 1 La 3.28
Mg12 0.6603 0.8301 0.7528  10 Mg 3.20-3.40, 1 Na 3.23, 1 La 3.28
Mg13 0.6667 0.3333 0.2530  12 Mg 3.24-3.34
Mg14 0.6667 0.3333 0.7470  12 Mg 3.24-3.34